# 1
An optimized crystal structure of Sc3Fe2Si3. Source: Materials Project, functional r2SCAN.

Cell lengths 3.938, 9.881, 12.848 Å; angles 90.00, 90.00, 90.00 degrees
Space group Cmcm (No. 63)
Symmetry-distinct sites (fractional):
Sc: 0.000 0.082 0.112 (multiplicity 8)
Sc: 0.000 0.363 0.250 (multiplicity 4)
Fe: 0.000 0.214 0.582 (multiplicity 8)
Si: 0.000 0.327 0.750 (multiplicity 4)
Si: 0.000 0.382 0.040 (multiplicity 8)

Calculated values
E_form = -14.66 kcal/mol of atoms
E_tot = -11.804 eV/atom



# 2
An optimized crystal structure of Sc2FeSi2. Source: Materials Project, functional r2SCAN.

Cell lengths 9.846, 3.979, 9.396 Å; angles 90.00, 118.75, 90.00 degrees
Space group C2/m (No. 12)
Symmetry-distinct sites (fractional):
Sc: 0.001 0.000 0.329 (multiplicity 4)
Sc: 0.185 0.000 0.108 (multiplicity 4)
Fe: 0.230 0.500 0.375 (multiplicity 4)
Si: 0.006 0.500 0.873 (multiplicity 4)
Si: 0.148 0.500 0.565 (multiplicity 4)

Calculated values
E_form = -15.85 kcal/mol of atoms
E_tot = -11.639 eV/atom



# 3
An optimized crystal structure of ScFe6Sn6. Source: Materials Project, functional r2SCAN.

Cell lengths 5.3675, 5.3675, 8.9642 Å; angles 90.00, 90.00, 120.00 degrees
Space group P6/mmm (No. 191)
Symmetry-distinct sites (fractional):
Sc: 0.0000 0.0000 0.0000 (multiplicity 1)
Fe: 0.0000 0.5000 0.2468 (multiplicity 6)
Sn: 0.0000 0.0000 0.3322 (multiplicity 2)
Sn: 0.3333 0.6667 0.0000 (multiplicity 2)
Sn: 0.3333 0.6667 0.5000 (multiplicity 2)

Calculated values
E_form = -1.23 kcal/mol of atoms
E_tot = -19.004 eV/atom



# 4
An optimized crystal structure of ThScFe6. Source: Materials Project, functional r2SCAN.

Cell lengths 5.0769, 5.0769, 49.1177 Å; angles 90.00, 90.00, 120.00 degrees
Space group R3m (No. 160, hexagonal axes)
Symmetry-distinct sites (fractional):
Th: 0.0000 0.0000 0.0000 (multiplicity 3)
Th: 0.0000 0.0000 0.0745 (multiplicity 3)
Th: 0.0000 0.0000 0.5693 (multiplicity 3)
Sc: 0.0000 0.0000 0.1434 (multiplicity 3)
Sc: 0.0000 0.0000 0.4985 (multiplicity 3)
Sc: 0.0000 0.0000 0.6404 (multiplicity 3)
Fe: 0.0000 0.0000 0.2362 (multiplicity 3)
Fe: 0.0000 0.0000 0.3199 (multiplicity 3)
Fe: 0.0000 0.0000 0.4053 (multiplicity 3)
Fe: 0.0000 0.0000 0.7381 (multiplicity 3)
Fe: 0.0000 0.0000 0.8209 (multiplicity 3)
Fe: 0.0000 0.0000 0.9034 (multiplicity 3)
Fe: 0.9997 0.4998 0.5278 (multiplicity 9)
Fe: 0.9996 0.4998 0.6116 (multiplicity 9)
Fe: 0.0009 0.5004 0.0298 (multiplicity 9)
Fe: 0.0007 0.5003 0.1138 (multiplicity 9)

Calculated values
E_form = -0.95 kcal/mol of atoms
E_tot = -21.460 eV/atom



# 5
An optimized crystal structure of YScFe4. Source: Materials Project, functional r2SCAN.

Cell lengths 7.214, 7.214, 7.214 Å; angles 90.00, 90.00, 90.00 degrees
Space group F-43m (No. 216)
Symmetry-distinct sites (fractional):
Y: 0.000 0.000 0.000 (multiplicity 4)
Sc: 0.250 0.250 0.250 (multiplicity 4)
Fe: 0.125 0.125 0.625 (multiplicity 16)

Calculated values
E_form = -0.92 kcal/mol of atoms
E_tot = -14.934 eV/atom



# 6
An optimized crystal structure of ZrScFe4. Source: Materials Project, functional r2SCAN.

Cell lengths 7.065, 7.065, 7.065 Å; angles 90.00, 90.00, 90.00 degrees
Space group F-43m (No. 216)
Symmetry-distinct sites (fractional):
Zr: 0.000 0.000 0.000 (multiplicity 4)
Sc: 0.250 0.250 0.750 (multiplicity 4)
Fe: 0.125 0.125 0.375 (multiplicity 16)

Calculated values
E_form = -4.71 kcal/mol of atoms
E_tot = -15.505 eV/atom



Question: What is the E_form in the fourth record?
Answer: -0.95 kcal/mol of atoms



Question: Among the records above, which one has the lowest E_form?
Answer: Sc2FeSi2